No. 1
Material: NiS2
Method: DFT, r2SCAN
State: relaxed

Cell lengths 3.5642, 4.6123, 5.7034 Å; angles 90.00, 90.00, 90.00 degrees
Fractional coordinates of all 6 atoms:
S (0.5000, 0.6795, 0.1100)
S (0.5000, 0.3205, 0.8900)
S (0.0000, 0.8205, 0.6100)
Ni (0.5000, 0.5000, 0.5000)
S (0.0000, 0.1795, 0.3900)
Ni (0.0000, 0.0000, 0.0000)

Crystal system: orthorhombic
ΔE_f in eV/f.u.: -1.2
Space-group type: No. 58
M_tot in μB/cell: 0.00



No. 2
Material: Gd4B3C4
Method: DFT, r2SCAN
State: relaxed

Cell lengths 3.6379, 3.6642, 12.0800 Å; angles 92.62, 99.41, 90.09 degrees
Fractional coordinates of all 11 atoms:
B (0.0000, 0.0000, 0.0000)
Gd (0.7807, 0.0179, 0.6529)
B (0.1860, 0.5044, 0.5492)
C (0.2909, 0.5219, 0.6715)
C (0.9089, 0.0502, 0.8786)
Gd (0.2193, 0.9821, 0.3471)
C (0.0911, 0.9498, 0.1214)
Gd (0.3996, 0.5484, 0.8642)
Gd (0.6004, 0.4516, 0.1358)
C (0.7091, 0.4781, 0.3285)
B (0.8140, 0.4956, 0.4508)

Crystal system: triclinic
ΔE_f in eV/f.u.: -5.8
Space-group type: No. 2
M_tot in μB/cell: 0.02



No. 3
Material: P
Method: DFT, r2SCAN
State: relaxed

Cell lengths 3.2955, 4.5436, 5.7080 Å; angles 90.00, 106.78, 90.00 degrees
Fractional coordinates of all 4 atoms:
P (0.4041, 0.9112, 0.8083)
P (0.0959, 0.4112, 0.1917)
P (0.5959, 0.0888, 0.1917)
P (0.9041, 0.5888, 0.8083)

Crystal system: orthorhombic
ΔE_f in eV/f.u.: 0.0
Space-group type: No. 64
M_tot in μB/cell: 0.00



No. 4
Material: SiH14O6F6
Method: DFT, r2SCAN
State: relaxed

Cell lengths 5.5092, 5.9054, 13.8381 Å; angles 90.00, 90.00, 108.91 degrees
Fractional coordinates of all 54 atoms:
F (0.2396, 0.9880, 0.9230)
H (0.5001, 0.2477, 0.4149)
O (0.9334, 0.3677, 0.7642)
H (0.4488, 0.5690, 0.8435)
F (0.2103, 0.5545, 0.4065)
O (0.6183, 0.9065, 0.6064)
O (0.0666, 0.6323, 0.2358)
H (0.5512, 0.4310, 0.1565)
H (0.3254, 0.2761, 0.6472)
H (0.5001, 0.7477, 0.0851)
F (0.7897, 0.4455, 0.5935)
O (0.9334, 0.8677, 0.7358)
F (0.2396, 0.4880, 0.5770)
H (0.7246, 0.4895, 0.9480)
F (0.7604, 0.5120, 0.4230)
H (0.7246, 0.9895, 0.5520)
H (0.1215, 0.5895, 0.2995)
H (0.8785, 0.9105, 0.7995)
O (0.3817, 0.5935, 0.1064)
F (0.0797, 0.7970, 0.5206)
O (0.0666, 0.1323, 0.2642)
H (0.8015, 0.8721, 0.6848)
H (0.2754, 0.5105, 0.0520)
H (0.5512, 0.9310, 0.3435)
F (0.7897, 0.9455, 0.9065)
H (0.4999, 0.2523, 0.9149)
F (0.7604, 0.0120, 0.0770)
O (0.3817, 0.0935, 0.3936)
H (0.8785, 0.4105, 0.7005)
H (0.2754, 0.0105, 0.4480)
H (0.8015, 0.3721, 0.8152)
H (0.4999, 0.7523, 0.5851)
O (0.6183, 0.4065, 0.8936)
H (0.1196, 0.4989, 0.7844)
O (0.3462, 0.6540, 0.8089)
F (0.2103, 0.0545, 0.0935)
H (0.8804, 0.5011, 0.2156)
H (0.1985, 0.6279, 0.1848)
H (0.6746, 0.7239, 0.3528)
H (0.1215, 0.0895, 0.2005)
H (0.1985, 0.1279, 0.3152)
O (0.3462, 0.1540, 0.6911)
H (0.6746, 0.2239, 0.1472)
Si (0.0000, 0.0000, 0.0000)
O (0.6538, 0.8460, 0.3089)
H (0.1196, 0.9989, 0.7156)
H (0.4488, 0.0690, 0.6565)
F (0.9203, 0.2030, 0.4794)
O (0.6538, 0.3460, 0.1911)
H (0.3254, 0.7761, 0.8528)
Si (0.0000, 0.5000, 0.5000)
F (0.9203, 0.7030, 0.0206)
F (0.0797, 0.2970, 0.9794)
H (0.8804, 0.0011, 0.2844)

Crystal system: monoclinic
ΔE_f in eV/f.u.: -43.5
Space-group type: No. 14
M_tot in μB/cell: 0.00



No. 5
Material: Ge22Rh17
Method: DFT, r2SCAN
State: relaxed

Cell lengths 5.6293, 5.6293, 39.5634 Å; angles 94.08, 94.08, 90.00 degrees
Fractional coordinates of all 78 atoms:
Ge (0.0649, 0.5081, 0.4357)
Ge (0.0346, 0.6803, 0.7051)
Rh (0.6024, 0.1024, 0.2048)
Ge (0.1851, 0.8224, 0.0643)
Rh (0.8260, 0.8260, 0.6519)
Rh (0.1740, 0.1740, 0.3481)
Ge (0.6448, 0.1152, 0.6155)
Rh (0.0127, 0.5127, 0.0254)
Ge (0.6052, 0.2497, 0.8845)
Ge (0.3197, 0.3294, 0.2949)
Ge (0.2793, 0.6348, 0.8845)
Ge (0.0714, 0.1969, 0.8440)
Rh (0.2373, 0.2373, 0.4746)
Ge (0.3562, 0.2146, 0.0257)
Rh (0.1200, 0.1200, 0.2400)
Ge (0.6706, 0.0248, 0.7051)
Rh (0.6476, 0.6476, 0.2952)
Rh (0.9426, 0.9426, 0.8853)
Ge (0.7503, 0.7207, 0.1155)
Rh (0.0760, 0.5760, 0.1519)
Rh (0.3700, 0.8700, 0.7400)
Ge (0.4919, 0.6292, 0.5643)
Ge (0.9707, 0.5003, 0.6155)
Ge (0.5794, 0.0697, 0.7949)
Ge (0.7581, 0.8149, 0.9357)
Ge (0.1250, 0.2266, 0.7500)
Ge (0.7854, 0.3304, 0.9743)
Rh (0.5432, 0.0432, 0.0864)
Ge (0.1889, 0.6438, 0.9743)
Ge (0.5804, 0.5354, 0.4743)
Rh (0.8364, 0.3364, 0.6728)
Ge (0.8938, 0.9389, 0.4743)
Ge (0.7725, 0.6470, 0.8440)
Rh (0.3074, 0.8074, 0.6147)
Rh (0.0574, 0.0574, 0.1147)
Rh (0.8800, 0.8800, 0.7600)
Rh (0.5864, 0.5864, 0.1728)
Rh (0.2932, 0.2932, 0.5864)
Rh (0.1926, 0.6926, 0.3853)
Ge (0.7734, 0.3750, 0.2500)
Ge (0.1786, 0.1030, 0.6560)
Rh (0.4136, 0.4136, 0.8272)
Ge (0.0724, 0.9351, 0.5643)
Rh (0.7817, 0.2817, 0.5634)
Rh (0.7183, 0.2183, 0.4366)
Rh (0.2500, 0.7500, 0.5000)
Ge (0.4775, 0.5531, 0.6560)
Rh (0.1300, 0.6300, 0.2600)
Rh (0.7068, 0.7068, 0.4136)
Rh (0.4873, 0.9873, 0.9746)
Rh (0.8976, 0.3976, 0.7952)
Ge (0.2748, 0.4206, 0.2051)
Ge (0.8031, 0.2275, 0.1560)
Ge (0.0611, 0.4196, 0.5257)
Ge (0.1776, 0.1208, 0.9357)
Ge (0.8848, 0.0293, 0.3845)
Rh (0.4683, 0.4683, 0.9366)
Ge (0.8792, 0.2419, 0.0643)
Rh (0.5317, 0.5317, 0.0634)
Ge (0.4469, 0.8214, 0.3440)
Ge (0.8970, 0.5225, 0.3440)
Rh (0.3524, 0.3524, 0.7048)
Ge (0.6696, 0.8111, 0.0257)
Rh (0.7627, 0.7627, 0.5254)
Rh (0.4240, 0.9240, 0.8481)
Ge (0.3708, 0.9276, 0.4357)
Ge (0.4766, 0.8750, 0.2500)
Ge (0.2154, 0.7252, 0.7949)
Ge (0.3530, 0.9286, 0.1560)
Ge (0.3652, 0.3948, 0.1155)
Rh (0.9568, 0.4568, 0.9136)
Ge (0.4646, 0.1062, 0.5257)
Rh (0.0000, 0.0000, 0.0000)
Ge (0.9303, 0.7846, 0.2051)
Ge (0.4997, 0.3552, 0.3845)
Rh (0.6636, 0.1636, 0.3272)
Ge (0.9752, 0.9654, 0.2949)
Ge (0.6250, 0.5234, 0.7500)

Crystal system: tetragonal
ΔE_f in eV/f.u.: -18.7
Space-group type: No. 122
M_tot in μB/cell: 0.00



No. 6
Material: PrCrSe3
Method: DFT, r2SCAN
State: relaxed

Cell lengths 3.9738, 8.1881, 13.7745 Å; angles 90.00, 90.00, 90.00 degrees
Fractional coordinates of all 20 atoms:
Se (0.2500, 0.0135, 0.1082)
Se (0.2500, 0.3089, 0.7888)
Se (0.7500, 0.4865, 0.6082)
Se (0.7500, 0.1911, 0.2888)
Se (0.2500, 0.1584, 0.5050)
Se (0.7500, 0.6911, 0.2112)
Pr (0.2500, 0.4059, 0.1716)
Se (0.7500, 0.3416, 0.0050)
Cr (0.2500, 0.1607, 0.9488)
Pr (0.2500, 0.9059, 0.3284)
Se (0.7500, 0.8416, 0.4950)
Pr (0.7500, 0.5941, 0.8284)
Se (0.7500, 0.9865, 0.8918)
Cr (0.7500, 0.3393, 0.4488)
Pr (0.7500, 0.0941, 0.6716)
Cr (0.7500, 0.8393, 0.0512)
Se (0.2500, 0.8089, 0.7112)
Cr (0.2500, 0.6607, 0.5512)
Se (0.2500, 0.5135, 0.3918)
Se (0.2500, 0.6584, 0.9950)

Crystal system: orthorhombic
ΔE_f in eV/f.u.: -7.6
Space-group type: No. 62
M_tot in μB/cell: 12.00



No. 7
Material: ScMn6Ge6
Method: DFT, r2SCAN
State: relaxed

Cell lengths 5.1011, 5.1011, 8.1201 Å; angles 90.00, 90.00, 120.00 degrees
Fractional coordinates of all 13 atoms:
Sc (0.0000, 0.0000, 0.5000)
Ge (0.6667, 0.3333, 0.0000)
Ge (0.3333, 0.6667, 0.5000)
Mn (0.5000, 0.5000, 0.2496)
Ge (0.3333, 0.6667, 0.0000)
Mn (0.5000, 0.0000, 0.7504)
Mn (0.5000, 0.5000, 0.7504)
Mn (0.5000, 0.0000, 0.2496)
Mn (0.0000, 0.5000, 0.2496)
Ge (0.0000, 0.0000, 0.8383)
Ge (0.6667, 0.3333, 0.5000)
Mn (0.0000, 0.5000, 0.7504)
Ge (0.0000, 0.0000, 0.1617)

Crystal system: hexagonal
ΔE_f in eV/f.u.: -4.4
Space-group type: No. 191
M_tot in μB/cell: 12.51



No. 8
Material: Sr2CaSn5
Method: DFT, r2SCAN
State: relaxed

Cell lengths 6.8210, 6.8210, 10.7581 Å; angles 90.00, 90.00, 102.22 degrees
Fractional coordinates of all 16 atoms:
Sn (0.8166, 0.8166, 0.9501)
Ca (0.1500, 0.1500, 0.7500)
Sn (0.0130, 0.4112, 0.2500)
Sn (0.1835, 0.1835, 0.4501)
Sr (0.7027, 0.2973, 0.5000)
Sr (0.2973, 0.7027, 0.0000)
Ca (0.8500, 0.8500, 0.2500)
Sn (0.5401, 0.5401, 0.7500)
Sn (0.9870, 0.5888, 0.7500)
Sn (0.5888, 0.9870, 0.7500)
Sn (0.8165, 0.8165, 0.5499)
Sn (0.4112, 0.0130, 0.2500)
Sn (0.1834, 0.1834, 0.0499)
Sn (0.4599, 0.4599, 0.2500)
Sr (0.7027, 0.2973, 0.0000)
Sr (0.2973, 0.7027, 0.5000)

Crystal system: orthorhombic
ΔE_f in eV/f.u.: -4.8
Space-group type: No. 63
M_tot in μB/cell: 0.00



No. 9
Material: Na5Ni9O18
Method: DFT, r2SCAN
State: relaxed

Cell lengths 5.7164, 7.4487, 8.5687 Å; angles 100.67, 105.59, 95.33 degrees
Fractional coordinates of all 32 atoms:
Ni (0.5014, 0.8323, 0.7257)
Ni (0.4975, 0.8328, 0.0595)
O (0.6863, 0.7396, 0.9258)
O (0.3247, 0.5789, 0.6502)
O (0.6834, 0.0815, 0.7949)
O (0.6895, 0.4034, 0.0049)
O (0.3137, 0.2604, 0.0742)
O (0.3230, 0.9268, 0.8813)
Ni (0.5071, 0.4993, 0.8339)
O (0.3029, 0.6001, 0.3342)
Na (0.0000, 0.0000, 0.0000)
Na (0.0056, 0.3409, 0.8704)
Ni (0.4938, 0.8344, 0.3919)
O (0.3105, 0.5966, 0.9951)
O (0.3166, 0.9185, 0.2051)
Na (0.0045, 0.7071, 0.4871)
O (0.6971, 0.3999, 0.6658)
Ni (0.5000, 0.5000, 0.5000)
O (0.6770, 0.0732, 0.1187)
O (0.6823, 0.0663, 0.4692)
Ni (0.4929, 0.5007, 0.1661)
Ni (0.5025, 0.1672, 0.9405)
O (0.3281, 0.2573, 0.7548)
Na (0.9944, 0.6591, 0.1296)
O (0.3177, 0.9337, 0.5308)
Na (0.9955, 0.2929, 0.5129)
Ni (0.4986, 0.1677, 0.2743)
O (0.3299, 0.2597, 0.4326)
O (0.6719, 0.7427, 0.2452)
O (0.6753, 0.4211, 0.3498)
O (0.6701, 0.7403, 0.5674)
Ni (0.5062, 0.1656, 0.6081)

Crystal system: triclinic
ΔE_f in eV/f.u.: -41.5
Space-group type: No. 2
M_tot in μB/cell: 4.99



No. 10
Material: Na2BeH4
Method: DFT, r2SCAN
State: relaxed

Cell lengths 4.9398, 5.0056, 6.6863 Å; angles 100.78, 90.00, 90.00 degrees
Fractional coordinates of all 14 atoms:
H (0.7500, 0.9330, 0.6627)
Be (0.2500, 0.2793, 0.2176)
H (0.4803, 0.4534, 0.2640)
H (0.9803, 0.5466, 0.7360)
Be (0.7500, 0.7207, 0.7824)
H (0.0197, 0.4534, 0.2640)
Na (0.7500, 0.2539, 0.4665)
H (0.5197, 0.5466, 0.7360)
H (0.2500, 0.1771, 0.0023)
Na (0.7500, 0.2773, 0.9706)
Na (0.2500, 0.7461, 0.5335)
Na (0.2500, 0.7227, 0.0294)
H (0.2500, 0.0670, 0.3373)
H (0.7500, 0.8229, 0.9977)

Crystal system: monoclinic
ΔE_f in eV/f.u.: -2.1
Space-group type: No. 11
M_tot in μB/cell: 0.00



No. 11
Material: Zr4CoNi
Method: DFT, r2SCAN
State: relaxed

Cell lengths 5.2489, 5.2489, 5.2489 Å; angles 105.19, 105.19, 118.41 degrees
Fractional coordinates of all 6 atoms:
Zr (0.9175, 0.4175, 0.8351)
Zr (0.4175, 0.5825, 0.5000)
Co (0.0000, 0.0000, 0.0000)
Zr (0.5825, 0.0825, 0.1649)
Zr (0.0825, 0.9175, 0.5000)
Ni (0.5000, 0.5000, 0.0000)

Crystal system: tetragonal
ΔE_f in eV/f.u.: -1.4
Space-group type: No. 97
M_tot in μB/cell: 0.00



No. 12
Material: Ho5Si3
Method: DFT, r2SCAN
State: relaxed

Cell lengths 8.3728, 8.3728, 6.3214 Å; angles 90.00, 90.00, 120.00 degrees
Fractional coordinates of all 16 atoms:
Ho (0.3333, 0.6667, 0.5000)
Ho (0.2425, 0.0000, 0.2500)
Si (0.0000, 0.3942, 0.7500)
Si (0.0000, 0.6058, 0.2500)
Ho (0.7575, 0.0000, 0.7500)
Ho (0.6667, 0.3333, 0.5000)
Si (0.6058, 0.0000, 0.2500)
Si (0.3942, 0.3942, 0.2500)
Ho (0.0000, 0.2425, 0.2500)
Ho (0.7575, 0.7575, 0.2500)
Ho (0.6667, 0.3333, 0.0000)
Si (0.3942, 0.0000, 0.7500)
Ho (0.3333, 0.6667, 0.0000)
Si (0.6058, 0.6058, 0.7500)
Ho (0.0000, 0.7575, 0.7500)
Ho (0.2425, 0.2425, 0.7500)

Crystal system: hexagonal
ΔE_f in eV/f.u.: -6.2
Space-group type: No. 193
M_tot in μB/cell: 0.00